1.
Li4Mn3Cr3Fe2O16 PBE+U relaxed; energy relative to the lowest polymorph listed for this composition = 0 meV/atom; E = -6.85 eV per atom; DFT formation energy = -2.07 eV/atom; magnetization = 27.000 Bohr magnetons per cell; theoretical density = 4.2 g/cm3
1.0
5.8617 0.0000 0.0000
-2.9285 5.0835 0.0000
-0.0483 -0.0699 9.5126
Li Mn Cr Fe O
4 3 3 2 16
Direct
0.0000 0.0000 0.0000 Li
0.0005 0.0040 0.5009 Li
0.3408 0.6770 0.6044 Li
0.6727 0.3479 0.1045 Li
0.1712 0.8375 0.2824 Mn
0.6638 0.8376 0.2823 Mn
0.8344 0.6662 0.7816 Mn
0.1711 0.3448 0.2832 Cr
0.3413 0.1753 0.7831 Cr
0.8328 0.1721 0.7849 Cr
0.3284 0.6693 0.0075 Fe
0.6640 0.3314 0.5063 Fe
0.0400 0.5339 0.1605 O
0.1537 0.3292 0.8958 O
0.1600 0.8377 0.8970 O
0.3251 0.1602 0.3976 O
0.3419 0.6849 0.3887 O
0.4843 0.9718 0.1631 O
0.4904 0.5341 0.1597 O
0.5291 0.4930 0.6582 O
0.5317 0.0450 0.6627 O
0.6775 0.3509 0.8913 O
0.6773 0.8466 0.8924 O
0.8338 0.1615 0.3972 O
0.8408 0.6819 0.3928 O
0.9665 0.4868 0.6636 O
0.9954 0.9955 0.6865 O
0.9964 0.9969 0.1869 O

2.
Li6Mn3Cr2Fe3O16 PBE+U relaxed; energy relative to the lowest polymorph listed for this composition = 0 meV/atom; E = -6.56 eV per atom; DFT formation energy = -2.03 eV/atom; magnetization = 31.002 Bohr magnetons per cell; theoretical density = 4.3 g/cm3
1.0
5.8645 0.0000 0.0000
2.8900 5.1107 0.0000
0.1337 0.0363 9.5598
Li Mn Cr Fe O
6 3 2 3 16
Direct
0.0000 0.0000 0.0000 Li
0.0007 0.4817 0.0032 Li
0.1703 0.6577 0.5021 Li
0.4795 0.0003 0.0043 Li
0.6537 0.6542 0.5036 Li
0.6597 0.1698 0.5014 Li
0.4884 0.9935 0.2731 Mn
0.6561 0.6573 0.7737 Mn
0.9964 0.4892 0.2734 Mn
0.1596 0.1571 0.5463 Cr
0.4854 0.4956 0.0471 Cr
0.1588 0.6573 0.7713 Fe
0.6561 0.1599 0.7715 Fe
0.9902 0.9948 0.2702 Fe
0.1414 0.6614 0.1542 O
0.1773 0.1437 0.1560 O
0.3134 0.8628 0.4013 O
0.3247 0.2998 0.4036 O
0.3427 0.3436 0.9049 O
0.3496 0.7914 0.9004 O
0.4992 0.4996 0.6576 O
0.5025 0.9774 0.6584 O
0.6483 0.6777 0.1577 O
0.6590 0.1481 0.1541 O
0.7899 0.3527 0.9022 O
0.8059 0.8425 0.3835 O
0.8182 0.8190 0.8828 O
0.8670 0.3153 0.4012 O
0.9787 0.5040 0.6561 O
0.9851 0.9859 0.6510 O

3.
Li4MnCr2Fe3P6O24 PBE+U relaxed; E = -7.03 eV per atom; DFT formation energy = -2.44 eV/atom; magnetization = 27.000 Bohr magnetons per cell; theoretical density = 3.2 g/cm3
1.0
8.3755 0.0000 0.0000
3.7691 7.6944 0.0000
3.8700 2.5341 7.3703
Li Mn Cr Fe P O
4 1 2 3 6 24
Direct
0.0000 0.0000 0.0000 Li
0.1006 0.5152 0.8909 Li
0.4960 0.7012 0.3020 Li
0.8987 0.1089 0.4859 Li
0.9017 0.5163 0.3024 Mn
0.2523 0.8608 0.6357 Cr
0.7453 0.3645 0.1418 Cr
0.0981 0.7016 0.4857 Fe
0.3980 0.0055 0.7856 Fe
0.6014 0.2167 0.9932 Fe
0.9998 0.2966 0.7008 P
0.1933 0.1065 0.1798 P
0.3170 0.6065 0.0841 P
0.4985 0.4040 0.6004 P
0.6825 0.9193 0.3936 P
0.8039 0.8196 0.8932 P
0.9995 0.7956 0.7424 O
0.0593 0.4562 0.6711 O
0.1513 0.1013 0.7298 O
0.1581 0.5420 0.1126 O
0.1828 0.9566 0.3705 O
0.2148 0.0384 0.0331 O
0.2904 0.6624 0.2411 O
0.3253 0.7698 0.9016 O
0.3471 0.5979 0.5793 O
0.3571 0.1784 0.1203 O
0.4220 0.2495 0.6456 O
0.4911 0.9411 0.5484 O
0.5098 0.4514 0.0617 O
0.5703 0.3608 0.7541 O
0.6432 0.8833 0.8180 O
0.6487 0.4230 0.4097 O
0.6787 0.1053 0.2304 O
0.7034 0.7659 0.3340 O
0.7810 0.9639 0.9666 O
0.8134 0.6242 0.0393 O
0.8442 0.8839 0.4563 O
0.8493 0.2694 0.8939 O
0.9395 0.3195 0.5479 O
0.9977 0.2584 0.2064 O

4.
Li4Nb2Cr3Fe3O16 PBE+U relaxed; E = -7.29 eV per atom; DFT formation energy = -2.37 eV/atom; magnetization = 24.001 Bohr magnetons per cell; theoretical density = 4.4 g/cm3
1.0
5.1951 -2.9965 0.0000
5.1951 2.9965 0.0000
-0.0959 0.0000 9.7041
Li Nb Cr Fe O
4 2 3 3 16
Direct
0.0000 0.0000 0.0000 Li
0.9997 0.9997 0.5001 Li
0.3339 0.3339 0.0884 Li
0.6673 0.6673 0.5909 Li
0.3346 0.3346 0.4990 Nb
0.6684 0.6684 0.9968 Nb
0.1700 0.6595 0.7770 Cr
0.6595 0.1700 0.7770 Cr
0.8293 0.8293 0.2777 Cr
0.1710 0.1710 0.7723 Fe
0.3421 0.8285 0.2736 Fe
0.8285 0.3421 0.2736 Fe
0.0002 0.0002 0.1864 O
0.0008 0.0008 0.6856 O
0.0381 0.4845 0.6484 O
0.1651 0.6650 0.3985 O
0.1677 0.1677 0.4019 O
0.3311 0.3311 0.8828 O
0.3352 0.8301 0.8994 O
0.4802 0.4802 0.6524 O
0.4845 0.0381 0.6484 O
0.5190 0.5190 0.1453 O
0.5221 0.9617 0.1488 O
0.6650 0.1651 0.3985 O
0.6646 0.6646 0.3836 O
0.8301 0.3352 0.8994 O
0.8333 0.8333 0.8961 O
0.9617 0.5221 0.1488 O